No. 1
The following is a DFT calculation (PBE-GGA) of crystalline Na2CaTiP2SO12 at its relaxed geometry.

Summary:
Final energy, eV per atom: -6.858
Volume, Å³ per atom: 14.139
Energy of formation from the pure elements, meV/atom: -2719

Lattice parameters (Å, degrees): 9.0280 9.0694 22.7003 90.95 90.00 119.85
With the nearest neighbours (Å) after each atom.
Atoms (fractional coordinates):
Na: 0.9906 0.6330 0.2453  4 O 2.30-2.51
Na: 0.6424 0.6330 0.7453  4 O 2.30-2.51
Na: 0.6573 0.9663 0.5787  4 O 2.30-2.51
Na: 0.3090 0.9663 0.0787  4 O 2.30-2.51
Na: 0.3240 0.2997 0.9120  4 O 2.30-2.51
Na: 0.9757 0.2997 0.4120  4 O 2.30-2.51
Na: 0.0076 0.9777 0.4985  4 O 2.48-2.71
Na: 0.9701 0.9777 0.9985  4 O 2.48-2.71
Na: 0.6743 0.3110 0.8318  4 O 2.48-2.71
Na: 0.6367 0.3110 0.3318  4 O 2.48-2.71
Na: 0.3409 0.6443 0.1651  4 O 2.48-2.71
Na: 0.3034 0.6443 0.6651  4 O 2.48-2.71
Ca: 0.9966 0.9962 0.3524  6 O 2.14-2.26
Ca: 0.9997 0.9962 0.8524  6 O 2.14-2.26
Ca: 0.6632 0.3296 0.6857  6 O 2.14-2.26
Ca: 0.6663 0.3296 0.1857  6 O 2.14-2.26
Ca: 0.3299 0.6629 0.0191  6 O 2.14-2.26
Ca: 0.3330 0.6629 0.5191  6 O 2.14-2.26
Ti: 0.9958 0.0132 0.6498  4 O 1.90-2.07
Ti: 0.0174 0.0132 0.1498  4 O 1.90-2.07
Ti: 0.6625 0.3465 0.9831  4 O 1.90-2.07
Ti: 0.6840 0.3465 0.4831  4 O 1.90-2.07
Ti: 0.3292 0.6799 0.3165  4 O 1.90-2.07
Ti: 0.3507 0.6799 0.8165  4 O 1.90-2.07
P: 0.2925 0.9913 0.2512  4 O 1.49-1.63
P: 0.0182 0.3052 0.2533  4 O 1.50-1.64
P: 0.2870 0.3052 0.7533  4 O 1.50-1.64
P: 0.6988 0.9913 0.7512  4 O 1.49-1.63
P: 0.9591 0.3246 0.5845  4 O 1.49-1.63
P: 0.6849 0.6385 0.5867  4 O 1.50-1.64
P: 0.9536 0.6385 0.0867  4 O 1.50-1.64
P: 0.3655 0.3246 0.0845  4 O 1.49-1.63
P: 0.6258 0.6579 0.9178  4 O 1.49-1.63
P: 0.3515 0.9718 0.9200  4 O 1.50-1.64
P: 0.6203 0.9718 0.4200  4 O 1.50-1.64
P: 0.0321 0.6579 0.4178  4 O 1.49-1.63
S: 0.6986 0.7146 0.2485  4 O 1.45-1.51
S: 0.0160 0.7146 0.7485  4 O 1.45-1.51
S: 0.3653 0.0479 0.5818  4 O 1.45-1.51
S: 0.6826 0.0479 0.0818  4 O 1.45-1.51
S: 0.0320 0.3813 0.9151  4 O 1.45-1.51
S: 0.3493 0.3813 0.4151  4 O 1.45-1.51
O: 0.2054 0.0080 0.3042  1 P 1.49
O: 0.7970 0.7865 0.3025  1 S 1.45
O: 0.9901 0.2095 0.3096  1 P 1.50
O: 0.2194 0.2095 0.8096  1 P 1.50
O: 0.9894 0.7865 0.8025  1 S 1.45
O: 0.8026 0.0080 0.8042  1 P 1.49
O: 0.7923 0.9663 0.6934  1 P 1.63
O: 0.1603 0.1926 0.6989  1 P 1.64
O: 0.0314 0.8220 0.6964  1 S 1.51
O: 0.7907 0.8220 0.1964  1 S 1.51
O: 0.0323 0.1926 0.1989  1 P 1.64
O: 0.1740 0.9663 0.1934  1 P 1.63
O: 0.8721 0.3413 0.6376  1 P 1.49
O: 0.4637 0.1198 0.6358  1 S 1.45
O: 0.6568 0.5429 0.6429  1 P 1.50
O: 0.8861 0.5429 0.1429  1 P 1.50
O: 0.6561 0.1198 0.1358  1 S 1.45
O: 0.4692 0.3413 0.1376  1 P 1.49
O: 0.4589 0.2996 0.0268  1 P 1.63
O: 0.8270 0.5259 0.0322  1 P 1.64
O: 0.6980 0.1554 0.0297  1 S 1.51
O: 0.4573 0.1554 0.5297  1 S 1.51
O: 0.6989 0.5259 0.5322  1 P 1.64
O: 0.8407 0.2996 0.5268  1 P 1.63
O: 0.5387 0.6746 0.9709  1 P 1.49
O: 0.1304 0.4531 0.9692  1 S 1.45
O: 0.3234 0.8762 0.9762  1 P 1.50
O: 0.5528 0.8762 0.4762  1 P 1.50
O: 0.3228 0.4531 0.4692  1 S 1.45
O: 0.1359 0.6746 0.4709  1 P 1.49
O: 0.1256 0.6329 0.3601  1 P 1.63
O: 0.4936 0.8592 0.3655  1 P 1.64
O: 0.3647 0.4887 0.3631  1 S 1.51
O: 0.1240 0.4887 0.8631  1 S 1.51
O: 0.3656 0.8592 0.8655  1 P 1.64
O: 0.5073 0.6329 0.8601  1 P 1.63
O: 0.9953 0.8020 0.4117  1 P 1.51
O: 0.8029 0.0092 0.4102  1 P 1.53
O: 0.1971 0.2091 0.4089  1 S 1.48
O: 0.0120 0.2091 0.9089  1 S 1.48
O: 0.2063 0.0092 0.9102  1 P 1.53
O: 0.8066 0.8020 0.9117  1 P 1.51
O: 0.9583 0.1468 0.5892  1 P 1.61
O: 0.1931 0.0347 0.5861  1 S 1.50
O: 0.8554 0.8170 0.5900  1 P 1.59
O: 0.9616 0.8170 0.0900  1 P 1.59
O: 0.8416 0.0347 0.0861  1 S 1.50
O: 0.1885 0.1468 0.0892  1 P 1.61
O: 0.6620 0.1353 0.7450  1 P 1.51
O: 0.4696 0.3425 0.7436  1 P 1.53
O: 0.8637 0.5424 0.7422  1 S 1.48
O: 0.6787 0.5424 0.2422  1 S 1.48
O: 0.8730 0.3425 0.2436  1 P 1.53
O: 0.4733 0.1353 0.2450  1 P 1.51
O: 0.6250 0.4802 0.9225  1 P 1.61
O: 0.8598 0.3680 0.9195  1 S 1.50
O: 0.5221 0.1504 0.9233  1 P 1.59
O: 0.6283 0.1504 0.4233  1 P 1.59
O: 0.5082 0.3680 0.4195  1 S 1.50
O: 0.8552 0.4802 0.4225  1 P 1.61
O: 0.3287 0.4686 0.0783  1 P 1.51
O: 0.1362 0.6759 0.0769  1 P 1.53
O: 0.5304 0.8757 0.0756  1 S 1.48
O: 0.3453 0.8757 0.5756  1 S 1.48
O: 0.5396 0.6759 0.5769  1 P 1.53
O: 0.1400 0.4686 0.5783  1 P 1.51
O: 0.2917 0.8135 0.2559  1 P 1.61
O: 0.5264 0.7013 0.2528  1 S 1.50
O: 0.1888 0.4837 0.2566  1 P 1.59
O: 0.2949 0.4837 0.7566  1 P 1.59
O: 0.1749 0.7013 0.7528  1 S 1.50
O: 0.5218 0.8135 0.7559  1 P 1.61

=====

No. 2
The following is a DFT calculation (PBE-GGA) of crystalline Na3Ca2Y2PS5O24 at its relaxed geometry.

Summary:
Final energy, eV per atom: -6.668
Volume, Å³ per atom: 16.047
Energy of formation from the pure elements, meV/atom: -2633

Lattice parameters (Å, degrees): 9.2327 9.2220 24.1252 90.09 89.90 119.87
With the nearest neighbours (Å) after each atom.
Atoms (fractional coordinates):
Na: 0.3685 0.9943 0.7498  4 O 2.35-2.54
Na: 0.6608 0.9658 0.5886  4 O 2.37-2.55
Na: 0.6729 0.6994 0.0821  4 O 2.36-2.55
Na: 0.0277 0.0014 0.5044  3 O 2.47-2.76
Na: 0.0146 0.0010 0.0029  6 O 2.60-2.84
Na: 0.6807 0.3355 0.8333  6 O 2.63-2.81
Na: 0.6667 0.3334 0.3333  6 O 2.71-2.76
Na: 0.3052 0.6645 0.1661  4 O 2.54-2.82
Na: 0.3341 0.6628 0.6666  6 O 2.68-2.81
Ca: 0.0036 0.0003 0.6493  6 O 2.27-2.38
Ca: 0.0088 0.0024 0.1498  6 O 2.24-2.39
Ca: 0.3175 0.6669 0.0167  6 O 2.25-2.42
Ca: 0.3261 0.6666 0.5157  6 O 2.27-2.40
Ca: 0.3330 0.6671 0.3172  6 O 2.28-2.34
Ca: 0.3401 0.6653 0.8181  6 O 2.25-2.37
Y: 0.0004 0.9995 0.3498  6 O 2.24-2.28
Y: 0.9863 0.9998 0.8491  6 O 2.14-2.37
Y: 0.6688 0.3328 0.6837  6 O 2.17-2.34
Y: 0.6746 0.3359 0.1849  6 O 2.12-2.34
Y: 0.6731 0.3354 0.9828  6 O 2.13-2.33
Y: 0.6579 0.3297 0.4825  6 O 2.13-2.33
P: 0.6964 0.9994 0.7465  4 O 1.53-1.58
P: 0.3704 0.0350 0.5846  4 O 1.52-1.58
P: 0.9608 0.6305 0.0839  4 O 1.53-1.56
S: 0.3007 0.0016 0.2501  4 O 1.47-1.50
S: 0.7012 0.7021 0.2484  4 O 1.47-1.50
S: 0.0003 0.2972 0.2500  4 O 1.46-1.50
S: 0.2965 0.2951 0.7500  4 O 1.46-1.51
S: 0.0008 0.7040 0.7509  4 O 1.47-1.49
S: 0.9613 0.3329 0.5824  4 O 1.46-1.49
S: 0.6664 0.6316 0.5829  4 O 1.48-1.49
S: 0.6665 0.0344 0.0834  4 O 1.48-1.49
S: 0.3752 0.3357 0.0830  4 O 1.47-1.49
S: 0.6342 0.6663 0.9192  4 O 1.47-1.50
S: 0.0339 0.3661 0.9161  4 O 1.46-1.50
S: 0.3322 0.9703 0.9144  4 O 1.47-1.50
S: 0.6352 0.9667 0.4176  4 O 1.47-1.50
S: 0.3318 0.3667 0.4160  4 O 1.46-1.50
S: 0.0306 0.6656 0.4161  4 O 1.47-1.51
O: 0.2159 0.0200 0.3001  1 S 1.49
O: 0.8083 0.7904 0.2973  1 S 1.49
O: 0.9834 0.1954 0.3001  1 S 1.49
O: 0.2146 0.1881 0.7995  1 S 1.49
O: 0.9815 0.7863 0.8011  1 S 1.48
O: 0.8062 0.0154 0.7975  1 P 1.56
O: 0.7747 0.9850 0.6923  1 P 1.53
O: 0.2009 0.2161 0.6998  1 S 1.46
O: 0.0233 0.8055 0.7013  1 S 1.47
O: 0.7783 0.7945 0.1969  1 S 1.47
O: 0.0142 0.2153 0.1998  1 S 1.46
O: 0.2038 0.9854 0.2000  1 S 1.47
O: 0.8792 0.3519 0.6329  1 S 1.49
O: 0.4741 0.1233 0.6383  1 P 1.58
O: 0.6549 0.5345 0.6332  1 S 1.48
O: 0.8675 0.5243 0.1357  1 P 1.56
O: 0.6483 0.1178 0.1333  1 S 1.48
O: 0.4761 0.3499 0.1330  1 S 1.49
O: 0.4575 0.3155 0.0329  1 S 1.49
O: 0.8515 0.5374 0.0324  1 P 1.56
O: 0.6792 0.1327 0.0333  1 S 1.48
O: 0.4691 0.1456 0.5342  1 P 1.56
O: 0.6827 0.5470 0.5331  1 S 1.48
O: 0.8594 0.3195 0.5330  1 S 1.49
O: 0.5592 0.6852 0.9708  1 S 1.48
O: 0.1306 0.4434 0.9664  1 S 1.46
O: 0.3132 0.8676 0.9633  1 S 1.47
O: 0.5628 0.8733 0.4694  1 S 1.48
O: 0.3122 0.4438 0.4665  1 S 1.47
O: 0.1289 0.6882 0.4664  1 S 1.47
O: 0.1095 0.6447 0.3662  1 S 1.47
O: 0.5312 0.8839 0.3690  1 S 1.47
O: 0.3512 0.4651 0.3661  1 S 1.46
O: 0.1117 0.4643 0.8661  1 S 1.47
O: 0.3526 0.8956 0.8628  1 S 1.48
O: 0.5329 0.6477 0.8701  1 S 1.47
O: 0.0112 0.8176 0.4105  1 S 1.51
O: 0.8051 0.9859 0.4107  1 S 1.50
O: 0.1817 0.1949 0.4108  1 S 1.50
O: 0.0142 0.1951 0.9115  1 S 1.50
O: 0.1813 0.9901 0.9103  1 S 1.50
O: 0.8045 0.8169 0.9132  1 S 1.50
O: 0.9634 0.1730 0.5854  1 S 1.49
O: 0.1964 0.0149 0.5856  1 P 1.52
O: 0.8142 0.8026 0.5852  1 S 1.49
O: 0.9630 0.8002 0.0857  1 P 1.56
O: 0.8181 0.0178 0.0867  1 S 1.48
O: 0.2057 0.1912 0.0865  1 S 1.47
O: 0.6766 0.1605 0.7468  1 P 1.58
O: 0.4648 0.3052 0.7465  1 S 1.51
O: 0.8499 0.5357 0.7464  1 S 1.49
O: 0.6862 0.5322 0.2466  1 S 1.50
O: 0.8446 0.3106 0.2478  1 S 1.50
O: 0.4691 0.1558 0.2469  1 S 1.50
O: 0.6538 0.5147 0.9221  1 S 1.50
O: 0.8619 0.3446 0.9206  1 S 1.50
O: 0.4840 0.1398 0.9207  1 S 1.50
O: 0.6561 0.1386 0.4215  1 S 1.50
O: 0.4832 0.3466 0.4203  1 S 1.50
O: 0.8600 0.5159 0.4214  1 S 1.50
O: 0.3733 0.4959 0.0792  1 S 1.49
O: 0.1351 0.6505 0.0818  1 P 1.53
O: 0.5192 0.8630 0.0799  1 S 1.49
O: 0.3705 0.8666 0.5814  1 P 1.56
O: 0.5147 0.6485 0.5799  1 S 1.49
O: 0.1303 0.4775 0.5791  1 S 1.46
O: 0.3199 0.8527 0.2549  1 S 1.47
O: 0.5343 0.6834 0.2547  1 S 1.47
O: 0.1475 0.4658 0.2546  1 S 1.47
O: 0.3188 0.4631 0.7559  1 S 1.46
O: 0.1537 0.6896 0.7562  1 S 1.49
O: 0.5165 0.8488 0.7526  1 P 1.55

=====

No. 3
The following is a DFT calculation (PBE-GGA) of crystalline Na3CaYP2SO12 at its relaxed geometry.

Summary:
Final energy, eV per atom: -6.762
Volume, Å³ per atom: 14.846
Energy of formation from the pure elements, meV/atom: -2836

Lattice parameters (Å, degrees): 9.3902 9.3737 23.3853 89.65 90.00 120.06
With the nearest neighbours (Å) after each atom.
Atoms (fractional coordinates):
Na: 0.3554 0.3490 0.2446  5 O 2.49-2.67
Na: 0.0027 0.6348 0.2429  3 O 2.36-2.55
Na: 0.6321 0.6348 0.7429  3 O 2.36-2.55
Na: 0.9936 0.3490 0.7446  5 O 2.49-2.67
Na: 0.0221 0.6823 0.5779  5 O 2.49-2.67
Na: 0.6693 0.9681 0.5762  3 O 2.36-2.55
Na: 0.2988 0.9681 0.0762  3 O 2.36-2.55
Na: 0.6602 0.6823 0.0779  5 O 2.49-2.67
Na: 0.6887 0.0156 0.9112  5 O 2.49-2.67
Na: 0.3360 0.3015 0.9095  3 O 2.36-2.55
Na: 0.9655 0.3015 0.4095  3 O 2.36-2.55
Na: 0.3269 0.0156 0.4112  5 O 2.49-2.67
Na: 0.9719 0.9786 0.4945  3 O 2.45-2.57
Na: 0.0067 0.9786 0.9945  3 O 2.45-2.57
Na: 0.6386 0.3119 0.8278  3 O 2.45-2.57
Na: 0.6734 0.3119 0.3278  3 O 2.45-2.57
Na: 0.3052 0.6453 0.1612  3 O 2.45-2.57
Na: 0.3400 0.6453 0.6612  3 O 2.45-2.57
Ca: 0.9863 0.9924 0.3492  6 O 2.25-2.39
Ca: 0.0060 0.9924 0.8492  6 O 2.25-2.39
Ca: 0.6530 0.3257 0.6825  6 O 2.25-2.39
Ca: 0.6727 0.3257 0.1825  6 O 2.25-2.39
Ca: 0.3197 0.6590 0.0159  6 O 2.25-2.39
Ca: 0.3394 0.6590 0.5159  6 O 2.25-2.39
Y: 0.0085 0.0154 0.6510  6 O 2.18-2.38
Y: 0.0069 0.0154 0.1510  6 O 2.18-2.38
Y: 0.6752 0.3488 0.9843  6 O 2.18-2.38
Y: 0.6736 0.3488 0.4843  6 O 2.18-2.38
Y: 0.3418 0.6821 0.3177  6 O 2.18-2.38
Y: 0.3403 0.6821 0.8177  6 O 2.18-2.38
P: 0.2978 0.0006 0.2520  4 O 1.54-1.57
P: 0.0071 0.3105 0.2552  4 O 1.53-1.58
P: 0.3034 0.3105 0.7552  4 O 1.53-1.58
P: 0.7028 0.0006 0.7520  4 O 1.54-1.57
P: 0.9644 0.3340 0.5853  4 O 1.54-1.57
P: 0.6738 0.6438 0.5886  4 O 1.53-1.58
P: 0.9700 0.6438 0.0886  4 O 1.53-1.58
P: 0.3695 0.3340 0.0853  4 O 1.54-1.57
P: 0.6311 0.6673 0.9187  4 O 1.54-1.57
P: 0.3404 0.9771 0.9219  4 O 1.53-1.58
P: 0.6367 0.9771 0.4219  4 O 1.53-1.58
P: 0.0362 0.6673 0.4187  4 O 1.54-1.57
S: 0.6957 0.6954 0.2475  4 O 1.47-1.50
S: 0.9997 0.6954 0.7475  4 O 1.47-1.50
S: 0.3624 0.0288 0.5808  4 O 1.47-1.50
S: 0.6664 0.0288 0.0808  4 O 1.47-1.50
S: 0.0290 0.3621 0.9142  4 O 1.47-1.50
S: 0.3331 0.3621 0.4142  4 O 1.47-1.50
O: 0.2140 0.0154 0.3064  1 P 1.54
O: 0.7973 0.7815 0.2973  1 S 1.47
O: 0.9915 0.2195 0.3116  1 P 1.53
O: 0.2280 0.2195 0.8116  1 P 1.53
O: 0.9842 0.7815 0.7973  1 S 1.47
O: 0.8014 0.0154 0.8064  1 P 1.54
O: 0.7918 0.9795 0.6985  1 P 1.57
O: 0.1923 0.2120 0.7037  1 P 1.56
O: 0.0205 0.7916 0.6941  1 S 1.49
O: 0.7711 0.7916 0.1941  1 S 1.49
O: 0.0197 0.2120 0.2037  1 P 1.56
O: 0.1877 0.9795 0.1985  1 P 1.57
O: 0.8807 0.3487 0.6398  1 P 1.54
O: 0.4639 0.1148 0.6307  1 S 1.47
O: 0.6581 0.5528 0.6449  1 P 1.53
O: 0.8947 0.5528 0.1449  1 P 1.53
O: 0.6509 0.1148 0.1307  1 S 1.47
O: 0.4681 0.3487 0.1398  1 P 1.54
O: 0.4585 0.3129 0.0319  1 P 1.57
O: 0.8590 0.5453 0.0371  1 P 1.56
O: 0.6871 0.1249 0.0274  1 S 1.49
O: 0.4378 0.1249 0.5274  1 S 1.49
O: 0.6863 0.5453 0.5371  1 P 1.56
O: 0.8544 0.3129 0.5319  1 P 1.57
O: 0.5473 0.6821 0.9731  1 P 1.54
O: 0.1306 0.4482 0.9640  1 S 1.47
O: 0.3248 0.8861 0.9783  1 P 1.53
O: 0.5613 0.8861 0.4783  1 P 1.53
O: 0.3176 0.4482 0.4640  1 S 1.47
O: 0.1348 0.6821 0.4731  1 P 1.54
O: 0.1251 0.6462 0.3652  1 P 1.57
O: 0.5256 0.8786 0.3704  1 P 1.56
O: 0.3538 0.4582 0.3608  1 S 1.49
O: 0.1044 0.4582 0.8608  1 S 1.49
O: 0.3530 0.8786 0.8704  1 P 1.56
O: 0.5211 0.6462 0.8652  1 P 1.57
O: 0.0235 0.8251 0.4137  1 P 1.55
O: 0.8157 0.0115 0.4165  1 P 1.55
O: 0.1826 0.1961 0.4122  1 S 1.49
O: 0.0135 0.1961 0.9122  1 S 1.49
O: 0.1958 0.0115 0.9165  1 P 1.55
O: 0.8016 0.8251 0.9137  1 P 1.55
O: 0.9758 0.1727 0.5867  1 P 1.57
O: 0.1921 0.0038 0.5857  1 S 1.50
O: 0.8402 0.8147 0.5865  1 P 1.58
O: 0.9745 0.8147 0.0865  1 P 1.58
O: 0.8118 0.0038 0.0857  1 S 1.50
O: 0.1969 0.1727 0.0867  1 P 1.57
O: 0.6901 0.1584 0.7471  1 P 1.55
O: 0.4824 0.3449 0.7499  1 P 1.55
O: 0.8492 0.5294 0.7455  1 S 1.49
O: 0.6802 0.5294 0.2455  1 S 1.49
O: 0.8625 0.3449 0.2499  1 P 1.55
O: 0.4683 0.1584 0.2471  1 P 1.55
O: 0.6425 0.5060 0.9200  1 P 1.57
O: 0.8587 0.3371 0.9191  1 S 1.50
O: 0.5069 0.1480 0.9198  1 P 1.58
O: 0.6411 0.1480 0.4198  1 P 1.58
O: 0.4784 0.3371 0.4191  1 S 1.50
O: 0.8636 0.5060 0.4200  1 P 1.57
O: 0.3568 0.4918 0.0804  1 P 1.55
O: 0.1490 0.6782 0.0832  1 P 1.55
O: 0.5159 0.8628 0.0788  1 S 1.49
O: 0.3469 0.8628 0.5788  1 S 1.49
O: 0.5292 0.6782 0.5832  1 P 1.55
O: 0.1350 0.4918 0.5804  1 P 1.55
O: 0.3091 0.8394 0.2534  1 P 1.57
O: 0.5254 0.6705 0.2524  1 S 1.50
O: 0.1735 0.4814 0.2532  1 P 1.58
O: 0.3078 0.4814 0.7532  1 P 1.58
O: 0.1451 0.6705 0.7524  1 S 1.50
O: 0.5302 0.8394 0.7534  1 P 1.57

=====

- Which formula does entry 2 have?
  Na3Ca2Y2PS5O24

=====

- Which of these has the lowest energy of formation from the pure elements?
  Na3CaYP2SO12